Entry 1:
The following is a PBE with a Hubbard U calculation of a relaxed structure of MgNi2O4, from the Materials Project database.

Unit cell a=5.8353 b=5.8353 c=19.4413 alpha=80.40 beta=80.40 gamma=60.46
Sites, in units of the cell vectors:
O: 0.4675 0.9389 0.6826
O: 0.4327 0.4327 0.6829
O: 0.0434 0.5621 0.8167
O: 0.9312 0.9312 0.6809
O: 0.0707 0.5160 0.3143
O: 0.9389 0.4675 0.6826
O: 0.5621 0.0434 0.8167
O: 0.4330 0.9748 0.1868
O: 0.1809 0.1809 0.4349
O: 0.3148 0.3148 0.5674
O: 0.0683 0.0683 0.3180
O: 0.2143 0.6882 0.4316
O: 0.4372 0.4372 0.1857
O: 0.6855 0.6855 0.4294
O: 0.9311 0.9311 0.1776
O: 0.6882 0.2143 0.4316
O: 0.7879 0.3100 0.5668
O: 0.9748 0.4330 0.1868
O: 0.5579 0.5579 0.8134
O: 0.5682 0.5682 0.3188
O: 0.1788 0.7326 0.9390
O: 0.8201 0.8201 0.5672
O: 0.8231 0.8231 0.0601
O: 0.7326 0.1788 0.9390
O: 0.8234 0.2682 0.0630
O: 0.3100 0.7879 0.5668
O: 0.0717 0.0717 0.8219
O: 0.1709 0.1709 0.9447
O: 0.2682 0.8234 0.0630
O: 0.6820 0.6820 0.9245
O: 0.5160 0.0707 0.3143
O: 0.3197 0.3197 0.0729
Mg: 0.1254 0.1254 0.1252
Mg: 0.3736 0.3736 0.3751
Mg: 0.6250 0.6250 0.6253
Mg: 0.5004 0.5004 0.4992
Mg: 0.7483 0.7483 0.7501
Mg: 0.6477 0.6477 0.0271
Mg: 0.8954 0.8954 0.2821
Mg: 0.8770 0.8770 0.8749
Ni: 0.3740 0.8788 0.8747
Ni: 0.3526 0.3526 0.9692
Ni: 0.6258 0.1234 0.6255
Ni: 0.6012 0.6012 0.2197
Ni: 0.8788 0.3740 0.8747
Ni: 0.3698 0.8763 0.3745
Ni: 0.3988 0.3988 0.7817
Ni: 0.1237 0.6276 0.1248
Ni: 0.1496 0.1496 0.5345
Ni: 0.8494 0.8494 0.4671
Ni: 0.9989 0.9989 0.0017
Ni: 0.2502 0.2502 0.2506
Ni: 0.6276 0.1237 0.1248
Ni: 0.1020 0.1020 0.7161
Ni: 0.8763 0.3698 0.3745
Ni: 0.1234 0.6258 0.6255

Summary:
The space group is Cm (8). The calculation puts the energy above the most stable polymorph in this dataset at 0.077 eV per atom. For the electronic total energy, the calculation gives -35.6 eV/f.u.

=====

Entry 2:
The following is a PBE with a Hubbard U calculation of a relaxed structure of MgNi2O4, from the Materials Project database.

Unit cell a=5.9130 b=5.9086 c=5.9129 alpha=60.00 beta=59.93 gamma=60.00
Sites, in units of the cell vectors:
Ni: 0.5000 0.5000 0.5000
Ni: 0.5000 0.0000 0.5000
Ni: 0.0000 0.5000 0.5000
Ni: 0.5000 0.5000 0.0000
Mg: 0.8751 0.8752 0.8751
Mg: 0.1249 0.1249 0.1249
O: 0.7146 0.2617 0.2619
O: 0.7385 0.2853 0.7384
O: 0.2620 0.2621 0.2620
O: 0.7380 0.7379 0.7380
O: 0.2854 0.7383 0.7381
O: 0.2615 0.7147 0.2616
O: 0.7383 0.7382 0.2854
O: 0.2617 0.2618 0.7146

Summary:
The space group is I4_1/amd (141). The calculation puts the energy above the most stable polymorph in this dataset at 0.012 eV per atom. For the electronic total energy, the calculation gives -36.0 eV/f.u.

=====

Entry 3:
The following is a PBE with a Hubbard U calculation of a relaxed structure of MgNi2O4, from the Materials Project database.

Unit cell a=5.8888 b=5.8888 c=14.4297 alpha=90.00 beta=90.00 gamma=120.00
Sites, in units of the cell vectors:
O: 0.1724 0.3449 0.0880
O: 0.0000 0.0000 0.4277
O: 0.4849 0.9698 0.9048
O: 0.6667 0.3333 0.0928
O: 0.5193 0.0387 0.4196
O: 0.8170 0.1830 0.2487
O: 0.3333 0.6667 0.7557
O: 0.1533 0.8467 0.5758
O: 0.0302 0.5151 0.9048
O: 0.6667 0.3333 0.5745
O: 0.3333 0.6667 0.2357
O: 0.6934 0.8467 0.5758
O: 0.8512 0.1488 0.7612
O: 0.9613 0.4807 0.4196
O: 0.1533 0.3066 0.5758
O: 0.3661 0.1830 0.2487
O: 0.6551 0.8276 0.0880
O: 0.5193 0.4807 0.4196
O: 0.2977 0.1488 0.7612
O: 0.8512 0.7023 0.7612
O: 0.0000 0.0000 0.9161
O: 0.1724 0.8276 0.0880
O: 0.4849 0.5151 0.9048
O: 0.8170 0.6339 0.2487
Mg: 0.6667 0.3333 0.7141
Mg: 0.3333 0.6667 0.3733
Mg: 0.0000 0.0000 0.2902
Mg: 0.3333 0.6667 0.6206
Mg: 0.3333 0.6667 0.9987
Mg: 0.6667 0.3333 0.9530
Ni: 0.9952 0.4976 0.1666
Ni: 0.6640 0.8320 0.8335
Ni: 0.3328 0.1664 0.5001
Ni: 0.5024 0.0048 0.1666
Ni: 0.1680 0.3360 0.8335
Ni: 0.6667 0.3333 0.3342
Ni: 0.0000 0.0000 0.0450
Ni: 0.8336 0.1664 0.5001
Ni: 0.0000 0.0000 0.6673
Ni: 0.8336 0.6672 0.5001
Ni: 0.1680 0.8320 0.8335
Ni: 0.5024 0.4976 0.1666

Summary:
The space group is P3m1 (156). The calculation puts the energy above the most stable polymorph in this dataset at 0.027 eV per atom. For the electronic total energy, the calculation gives -35.9 eV/f.u.

=====

Entry 4:
The following is a PBE with a Hubbard U calculation of a relaxed structure of MgNi2O4, from the Materials Project database.

Unit cell a=4.9157 b=5.7478 c=10.0785 alpha=90.00 beta=90.00 gamma=90.00
Sites, in units of the cell vectors:
O: 0.8233 0.2501 0.1359
O: 0.6421 0.0000 0.6493
O: 0.8233 0.2501 0.8641
O: 0.1767 0.2499 0.3641
O: 0.1767 0.7501 0.3641
O: 0.1767 0.2499 0.6359
O: 0.7097 0.5000 0.6495
O: 0.1767 0.7501 0.6359
O: 0.3579 0.5000 0.8507
O: 0.2903 0.0000 0.8505
O: 0.2903 0.0000 0.1495
O: 0.6421 0.0000 0.3507
O: 0.8233 0.7499 0.8641
O: 0.8233 0.7499 0.1359
O: 0.3579 0.5000 0.1493
O: 0.7097 0.5000 0.3505
Mg: 0.0013 0.5000 0.5000
Mg: 0.9987 0.0000 0.0000
Mg: 0.3354 0.0000 0.5000
Mg: 0.6646 0.5000 0.0000
Ni: 0.5000 0.7500 0.2500
Ni: 0.5000 0.7500 0.7500
Ni: 0.9869 0.0000 0.7387
Ni: 0.0131 0.5000 0.7613
Ni: 0.5000 0.2500 0.2500
Ni: 0.9869 0.0000 0.2613
Ni: 0.5000 0.2500 0.7500
Ni: 0.0131 0.5000 0.2387

Summary:
The space group is Pmmn (59). The calculation puts the energy above the most stable polymorph in this dataset at 0.071 eV per atom. For the electronic total energy, the calculation gives -35.6 eV/f.u.

=====

Entry 5:
The following is a PBE with a Hubbard U calculation of a relaxed structure of MgNi2O4, from the Materials Project database.

Unit cell a=2.9277 b=9.2886 c=9.5291 alpha=90.00 beta=90.00 gamma=90.00
Sites, in units of the cell vectors:
O: 0.7234 0.6133 0.0274
O: 0.2766 0.1133 0.9726
O: 0.2766 0.3867 0.9726
O: 0.7234 0.3867 0.4726
O: 0.7234 0.8867 0.0274
O: 0.7234 0.1133 0.4726
O: 0.6965 0.7500 0.2951
O: 0.1512 0.5000 0.2500
O: 0.6965 0.2500 0.2049
O: 0.2766 0.6133 0.5274
O: 0.3035 0.7500 0.7951
O: 0.8488 0.0000 0.7500
O: 0.8488 0.5000 0.7500
O: 0.1512 0.0000 0.2500
O: 0.2766 0.8867 0.5274
O: 0.3035 0.2500 0.7049
Ni: 0.7244 0.0702 0.1134
Ni: 0.2756 0.9298 0.8866
Ni: 0.7244 0.9298 0.3866
Ni: 0.7244 0.4298 0.1134
Ni: 0.2756 0.0702 0.6134
Ni: 0.2756 0.4298 0.6134
Ni: 0.7244 0.5702 0.3866
Ni: 0.2756 0.5702 0.8866
Mg: 0.8041 0.7500 0.6471
Mg: 0.8041 0.2500 0.8529
Mg: 0.1959 0.7500 0.1471
Mg: 0.1959 0.2500 0.3529

Summary:
The space group is Pbcm (57). The calculation puts the energy above the most stable polymorph in this dataset at 0.055 eV per atom. For the electronic total energy, the calculation gives -35.7 eV/f.u.

=====

Entry 6:
The following is a PBE with a Hubbard U calculation of a relaxed structure of MgNi2O4, from the Materials Project database.

Unit cell a=5.8243 b=5.9237 c=5.9198 alpha=90.05 beta=120.48 gamma=120.51
Sites, in units of the cell vectors:
O: 0.9693 0.7141 0.7063
O: 0.9677 0.2551 0.7612
O: 0.0323 0.7448 0.2388
O: 0.4692 0.7617 0.7131
O: 0.5308 0.2383 0.2869
O: 0.4680 0.7054 0.2544
O: 0.5320 0.2946 0.7456
O: 0.0307 0.2859 0.2937
Ni: 0.5000 0.5000 0.5000
Ni: 0.0000 0.5000 0.5000
Ni: 0.5000 0.0000 0.5000
Ni: 0.0000 0.5000 0.0000
Mg: 0.2500 0.1257 0.8755
Mg: 0.7500 0.8743 0.1245

Summary:
The space group is P-1 (2). The calculation puts the energy above the most stable polymorph in this dataset at 0.001 eV per atom. For the electronic total energy, the calculation gives -36.1 eV/f.u.

=====

Entry 7:
The following is a PBE with a Hubbard U calculation of a relaxed structure of MgNi2O4, from the Materials Project database.

Unit cell a=5.8186 b=5.8186 c=5.8186 alpha=118.69 beta=118.35 gamma=92.59
Sites, in units of the cell vectors:
O: 0.2229 0.7346 0.4883
O: 0.2537 0.2667 0.5130
O: 0.2537 0.2654 0.9883
O: 0.2537 0.7407 0.9870
O: 0.7463 0.2593 0.0130
O: 0.7463 0.7346 0.0117
O: 0.7771 0.2654 0.5117
O: 0.7463 0.7333 0.4870
Mg: 0.0000 0.5000 0.0000
Mg: 0.0000 0.0000 0.5000
Ni: 0.3842 0.1342 0.2500
Ni: 0.0000 0.5000 0.5000
Ni: 0.6158 0.8658 0.7500
Ni: 0.5000 0.5000 0.0000

Summary:
The space group is Imma (74). The calculation puts the energy above the most stable polymorph in this dataset at 0.106 eV per atom. For the electronic total energy, the calculation gives -35.4 eV/f.u.

=====

Entry 8:
The following is a PBE with a Hubbard U calculation of a relaxed structure of MgNi2O4, from the Materials Project database.

Unit cell a=5.9316 b=5.9316 c=5.8926 alpha=60.24 beta=60.24 gamma=59.53
Sites, in units of the cell vectors:
O: 0.7312 0.7312 0.7856
O: 0.7451 0.7451 0.2224
O: 0.7125 0.2596 0.7556
O: 0.2875 0.7404 0.2444
O: 0.2688 0.2688 0.2144
O: 0.7404 0.2875 0.2444
O: 0.2596 0.7125 0.7556
O: 0.2549 0.2549 0.7776
Ni: 0.5000 0.5000 0.0000
Ni: 0.5000 0.5000 0.5000
Ni: 0.0000 0.5000 0.0000
Ni: 0.5000 0.0000 0.0000
Mg: 0.8758 0.8758 0.3751
Mg: 0.1242 0.1242 0.6249

Summary:
The space group is C2/m (12). The calculation puts the energy above the most stable polymorph in this dataset at 0.009 eV per atom. For the electronic total energy, the calculation gives -36.0 eV/f.u.